No. 1
The following is a DFT calculation (PBE) of a geometry-optimized Mg16Al12Cd structure.

Unit cell a=10.5590 b=10.5590 c=10.5590 alpha=90.00 beta=90.00 gamma=90.00
Space group I-43m (No. 217)
Symmetry-distinct sites (fractional):
Mg1 0.0434 0.3572 0.3572 x24
Mg2 0.1696 0.1696 0.8304 x8
Al1 0.0915 0.0915 0.2777 x24
Cd1 0.0000 0.0000 0.0000 x2

- energy relative to the elements (eV per atom) = -0.02
- E above lowest polymorph (meV/atom) = 11

***

No. 2
The following is a DFT calculation (PBE) of a geometry-optimized Mg17Al11Cd structure.

Unit cell a=10.5727 b=14.8826 c=9.1887 alpha=90.00 beta=125.03 gamma=90.00
Space group Cm (No. 8)
Symmetry-distinct sites (fractional):
Mg1 0.0000 0.0000 0.0000 x2
Mg2 0.0014 0.3418 0.9447 x4
Mg3 0.0136 0.3266 0.3406 x4
Mg4 0.0325 0.0000 0.6302 x2
Mg5 0.1451 0.1991 0.6585 x4
Mg6 0.2413 0.5000 0.0558 x2
Mg7 0.3032 0.3558 0.3416 x4
Mg8 0.3289 0.3014 0.0262 x4
Mg9 0.3414 0.0000 0.3417 x2
Mg10 0.3434 0.0000 0.6859 x2
Mg11 0.4009 0.3411 0.7425 x4
Al1 0.0230 0.5000 0.1505 x2
Al2 0.0672 0.0908 0.3420 x4
Al3 0.1154 0.4066 0.7125 x4
Al4 0.1598 0.1827 0.1576 x4
Al5 0.2496 0.0932 0.9751 x4
Al6 0.3440 0.1830 0.5267 x4
Cd1 0.2147 0.5000 0.5216 x2

- energy relative to the elements (eV per atom) = -0.03